No. 1
The following is a GGA-PBE calculation of crystalline TbB4Mo at its relaxed geometry, from the Materials Project.

Computed properties:
ΔH_f (0 K): -0.621 eV per atom
V: 64 Å³/f.u.
space-group type: No. 55

Lattice parameters (Å, degrees): 3.6377 6.0441 11.6809 90.00 90.00 90.00
Sites, in units of the cell vectors:
1 Tb 0.0000 0.6266 0.3500
2 Tb 0.0000 0.3734 0.6500
3 Tb 0.0000 0.1266 0.1500
4 Tb 0.0000 0.8734 0.8500
5 B 0.5000 0.7860 0.1861
6 B 0.5000 0.2140 0.8139
7 B 0.5000 0.2860 0.3139
8 B 0.5000 0.7140 0.6861
9 B 0.5000 0.8663 0.0321
10 B 0.5000 0.1337 0.9679
11 B 0.5000 0.3663 0.4679
12 B 0.5000 0.6337 0.5321
13 B 0.5000 0.8861 0.4528
14 B 0.5000 0.1139 0.5472
15 B 0.5000 0.3861 0.0472
16 B 0.5000 0.6139 0.9528
17 B 0.5000 0.9759 0.3069
18 B 0.5000 0.0241 0.6931
19 B 0.5000 0.4759 0.1931
20 B 0.5000 0.5241 0.8069
21 Mo 0.0000 0.6294 0.0833
22 Mo 0.0000 0.3706 0.9167
23 Mo 0.0000 0.1294 0.4167
24 Mo 0.0000 0.8706 0.5833



No. 2
The following is a GGA-PBE calculation of crystalline Ba8P5Br at its relaxed geometry, from the Materials Project.

Computed properties:
maximum piezoelectric response: 0.37 C/m2
ΔH_f (0 K): -1.201 eV per atom
V: 489 Å³/f.u.
space-group type: No. 82
E (MP2020): -60.9 eV per cell

Lattice parameters (Å, degrees): 8.5969 8.5969 8.5969 109.34 109.34 109.73
Sites, in units of the cell vectors:
1 Ba 0.7354 0.3666 0.2440
2 Ba 0.9858 0.7400 0.0987
3 Ba 0.6413 0.8871 0.9013
4 Ba 0.1227 0.4914 0.7560
5 Ba 0.6334 0.8773 0.3687
6 Ba 0.5086 0.2646 0.6313
7 Ba 0.2600 0.3587 0.2457
8 Ba 0.1129 0.0142 0.7543
9 P 0.7479 0.6322 0.6263
10 P 0.3678 0.9941 0.1156
11 P 0.0059 0.1215 0.3737
12 P 0.5000 0.5000 0.0000
13 P 0.8785 0.2521 0.8844
14 Br 0.2500 0.7500 0.5000



No. 3
The following is a GGA-PBE calculation of crystalline HfAl5Ni2 at its relaxed geometry, from the Materials Project.

Computed properties:
ΔH_f (0 K): -0.541 eV per atom
V: 117 Å³/f.u.
space-group type: No. 139

Lattice parameters (Å, degrees): 7.8093 7.8093 7.8093 150.21 150.21 42.64
Sites, in units of the cell vectors:
1 Hf 0.0000 0.0000 0.0000
2 Al 0.6466 0.1466 0.5000
3 Al 0.3534 0.8534 0.5000
4 Al 0.1466 0.6466 0.5000
5 Al 0.8534 0.3534 0.5000
6 Al 0.5000 0.5000 0.0000
7 Ni 0.2399 0.2399 0.0000
8 Ni 0.7601 0.7601 0.0000